40
Lattice="-4.5871 -0.0159 -2.9263 -2.8514 -6.2595 4.5038 -5.0674 7.9924 7.8999" Properties=species:S:1:pos:R:3 comment="Mn2BiPO6 | the Materials Project | PBE with a Hubbard U | relaxed" space_group="Pnma, No. 62" formation_energy_ev_per_atom=-2.285 dft_energy_ev_per_cell=-290.84 m_tot_mub_per_fu=10.001 pbc="T T T"
Mn -4.7772 -1.0600 -0.0933
Mn -7.0631 3.4802 3.4652
Mn -7.7286 2.7769 9.5707
Mn -6.5717 5.2297 7.7437
Mn -5.9342 -3.5127 1.7336
Mn -3.7022 1.9706 3.2634
Mn -5.4427 -1.7633 6.0122
Mn -8.8037 -0.2537 6.2140
Bi -6.9655 0.0276 3.3310
Bi -5.5403 1.6894 6.1463
Bi -10.8496 1.0595 9.4138
Bi -1.6563 0.6575 0.0635
P -3.4916 -1.3696 2.9515
P -4.7663 5.3903 4.9129
P -9.0143 3.0865 6.5259
P -7.7395 -3.6734 4.5645
O -5.4334 4.9571 3.5615
O -9.2484 -3.2477 4.5278
O -7.0162 -2.9041 3.4263
O -7.0725 -3.2401 5.9159
O -6.7676 -0.1326 5.5350
O -5.7383 1.8495 3.9424
O -3.2023 0.0843 2.4900
O -9.3036 1.6327 6.9874
O -7.7391 0.6558 9.5987
O -9.0468 -0.1405 4.0810
O -8.2230 3.7925 7.6811
O -6.9891 -5.1815 0.8828
O -7.7960 6.8906 7.1405
O -3.4591 1.8574 5.3964
O -4.3199 -1.3966 4.2501
O -2.1070 -2.0680 3.1844
O -10.3989 3.7850 6.2930
O -4.7668 1.0612 -0.1213
O -8.1859 3.1135 5.2273
O -5.5168 6.8985 8.5946
O -4.7098 -5.1736 2.3368
O -4.2829 -2.0756 1.7963
O -3.2575 4.9647 4.9495
O -5.4897 4.6211 6.0510

20
Lattice="-4.7042 -5.5929 2.5279 -1.4790 -1.1017 -5.1897 4.1108 -3.6541 -0.4347" Properties=species:S:1:pos:R:3 comment="NaPr3Mn4O12 | the Materials Project | PBE with a Hubbard U | relaxed" space_group="Pm, No. 6" formation_energy_ev_per_atom=-2.668 dft_energy_ev_per_cell=-150.14 m_tot_mub_per_fu=14.000 pbc="T T T"
Na 1.2358 -2.2951 -2.7780
Pr 3.9474 -3.5312 -0.4668
Pr -0.9026 -5.3123 -1.6050
Pr -3.6998 -4.0089 -3.9267
Mn 0.8928 -3.1904 0.3944
Mn -4.2786 -4.7916 -0.6866
Mn -1.5080 -6.0447 1.6845
Mn -1.8729 -1.9315 -1.9793
O -0.5027 -2.2338 -0.5971
O -1.1147 -7.3273 0.2394
O -1.2891 -7.6785 -2.5871
O -1.3483 -3.4732 -3.1426
O 0.6884 -5.3274 -3.6497
O -3.2483 -5.7321 -2.1216
O -3.1068 -5.3297 0.8022
O 1.5488 -4.1606 -1.1919
O -0.7706 -0.7030 -2.9893
O 0.7466 -2.9071 -5.0426
O 1.0646 -6.8858 -1.4254
O -0.4295 -4.6807 0.6729

32
Lattice="-2.4762 -1.4946 0.5829 2.8208 -4.2774 0.5328 1.8436 5.2021 18.5368" Properties=species:S:1:pos:R:3 comment="Li9Mn2Co5O16 | the Materials Project | PBE with a Hubbard U | relaxed" space_group="P1, No. 1" polymorph_energy_ev_per_atom=0.0809 formation_energy_ev_per_atom=-1.783 dft_energy_ev_per_cell=-184.76 m_tot_mub_per_fu=10.563 pbc="T T T"
Li 3.3581 1.8629 16.5917
Li 2.2082 -0.0805 14.5084
Li 3.5318 -0.5244 11.9078
Li 2.4808 -2.3760 10.1505
Li -1.3788 -0.0722 7.6055
Li -0.0502 -0.5012 5.1059
Li -1.1839 -2.4381 3.1357
Li 0.1792 -2.8719 0.6077
Li -0.1028 -1.0502 10.1080
Mn -0.0001 -0.0239 0.0283
Mn -0.3634 1.3186 14.6124
Co 0.6746 3.2971 16.6018
Co 0.9852 0.7900 11.8907
Co 1.2354 -1.3972 7.6562
Co 0.0856 -3.3376 5.6377
Co 1.4672 -3.8455 3.1171
O 2.6765 0.5054 18.0844
O 1.7633 -1.3861 16.1670
O 0.3637 2.5007 13.2502
O -0.8697 0.6481 11.1932
O 0.5633 0.0069 8.4212
O 1.7957 -0.3436 6.0834
O 0.7281 -2.2424 4.1168
O 2.0896 -2.7408 1.5565
O 1.3907 1.6845 15.5128
O 0.3114 -0.1755 13.6843
O 1.7125 -0.6800 11.1824
O 0.7060 -2.6274 8.9623
O 1.9052 -2.9529 6.5444
O -1.9766 -0.6824 4.0423
O -0.5398 -1.1416 1.5000
O 2.4667 3.5679 17.5026

19
Lattice="4.2202 2.3811 -3.5139 0.4641 -2.0560 -5.9336 -3.0117 5.8805 -4.7301" Properties=species:S:1:pos:R:3 comment="BaCaV2Ni3H2O10 | the Materials Project | PBE with a Hubbard U | relaxed" space_group="C2/m, No. 12" polymorph_energy_ev_per_atom=0.0000 formation_energy_ev_per_atom=-1.799 dft_energy_ev_per_cell=-111.99 m_tot_mub_per_fu=4.001 pbc="T T T"
Ba -1.2738 1.9123 -5.3319
Ca 2.1101 1.1905 -1.7570
V 0.5610 4.9041 -6.1989
V 1.1116 1.3015 -7.9788
Ni 0.0000 0.0000 0.0000
Ni 0.2320 -1.0280 -2.9668
Ni 2.3421 0.1625 -4.7238
H -0.8748 3.6078 -8.8016
H 2.5473 2.5978 -5.3761
O -1.2449 4.7619 -6.0430
O 0.7594 5.8927 -7.7118
O 2.9175 1.4437 -8.1347
O 0.9132 0.3129 -6.4659
O 1.3401 4.0355 -10.9497
O 0.3325 2.1701 -3.2280
O 0.1629 2.6951 -8.1738
O 1.5097 3.5105 -6.0039
O -1.5401 4.3006 -9.1312
O 3.2127 1.9050 -5.0465

37
Lattice="0.0000 0.0000 3.1924 9.7009 -0.0469 0.0000 -0.0625 12.9386 0.0000" Properties=species:S:1:pos:R:3 comment="MgV12B4O20 | the Materials Project | PBE with a Hubbard U | relaxed" space_group="Pm, No. 6" polymorph_energy_ev_per_atom=0.0138 formation_energy_ev_per_atom=-2.323 dft_energy_ev_per_cell=-288.09 m_tot_mub_per_fu=34.000 pbc="T T T"
Mg 4.7639 11.1245 0.0000
V 0.0439 2.9155 1.5962
V 9.6057 9.9732 1.5962
V 4.7373 8.9803 1.5962
V 4.9048 3.6172 1.5962
V -0.0204 6.4490 1.5962
V 4.7299 0.3792 1.5962
V 2.3638 5.0190 0.0000
V 7.3321 7.7745 0.0000
V 2.1970 11.5148 0.0000
V 7.2832 1.4824 0.0000
V 9.6316 0.0211 0.0000
V 4.8426 6.3286 0.0000
B 2.6263 1.8782 0.0000
B 7.0767 11.0781 0.0000
B 2.0973 8.2489 0.0000
B 7.5370 4.6038 0.0000
O 3.3255 0.6223 0.0000
O 6.3209 12.2916 0.0000
O 1.4528 7.0313 0.0000
O 8.2161 5.8185 0.0000
O 1.2482 1.8671 0.0000
O 8.4214 11.0508 0.0000
O 3.5277 8.2537 0.0000
O 6.1307 4.5721 0.0000
O 1.1377 4.6859 1.5962
O 8.5522 8.1918 1.5962
O 3.7172 11.0880 1.5962
O 6.0133 1.8580 1.5962
O 3.3759 3.0413 0.0000
O 6.2733 9.8774 0.0000
O 1.4073 9.4614 0.0000
O 8.2603 3.4075 0.0000
O 3.7844 5.4220 1.5962
O 5.8744 7.3172 1.5962
O 0.8948 11.9513 1.5962
O 8.6645 1.0108 1.5962

24
Lattice="-2.7702 3.1991 -2.7044 0.8951 -4.1573 -2.7642 -7.1820 -3.6410 3.2489" Properties=species:S:1:pos:R:3 comment="Li7Co5O12 | the Materials Project | PBE with a Hubbard U | relaxed" space_group="P-1, No. 2" polymorph_energy_ev_per_atom=0.0745 formation_energy_ev_per_atom=-1.688 dft_energy_ev_per_cell=-132.36 m_tot_mub_per_fu=0.239 pbc="T T T"
Li 0.4475 -2.0786 -1.3821
Li -2.1103 -1.0734 -2.1965
Li -1.9382 -3.2898 -0.3098
Li -4.5286 -2.2996 -1.1098
Li -7.1190 -1.3094 -1.9098
Li -6.9469 -3.5258 -0.0231
Li -1.3851 1.5995 -1.3522
Co -6.0363 -3.0354 2.7056
Co -3.0209 -1.5637 -4.9252
Co -2.8211 -3.7361 -3.0488
Co -3.5910 -1.8205 1.6245
Co -6.2361 -0.8630 0.8292
O -5.8975 -5.4937 -0.0898
O -1.4946 -0.7340 -4.2769
O -1.2189 -3.0947 -2.2350
O -3.7371 -1.9309 -3.1459
O -3.6263 -4.2177 -1.1760
O -6.3040 -3.2214 -2.0139
O -3.1597 0.8946 -2.1299
O -2.7532 -1.3777 -0.2057
O -5.4309 -0.3814 -1.0437
O -5.3201 -2.6682 0.9262
O -7.8383 -1.5044 0.0154
O -7.5626 -3.8651 2.0572

39
Lattice="-2.6792 -3.0729 10.0921 6.4365 -5.7424 -6.6384 7.0091 1.4405 3.5891" Properties=species:S:1:pos:R:3 comment="HfTl8Mo6O24 | the Materials Project | PBE with a Hubbard U | relaxed" space_group="C2/m, No. 12" formation_energy_ev_per_atom=-1.909 dft_energy_ev_per_cell=-251.44 m_tot_mub_per_fu=0.000 pbc="T T T"
Hf 0.0000 0.0000 0.0000
Tl 3.3226 -1.3772 2.0301
Tl 10.4628 -5.2527 2.6928
Tl 3.8664 -3.2432 6.3053
Tl 7.4438 -5.9975 5.0128
Tl 0.3036 -2.1220 4.3500
Tl 6.9000 -4.1316 0.7376
Tl 7.2933 -4.3246 8.5098
Tl 3.4731 -3.0502 -1.4670
Mo 4.1069 -3.3730 10.3476
Mo 6.6595 -4.0017 -3.3047
Mo 3.7962 -5.0925 2.8809
Mo 0.4198 -2.1744 8.1474
Mo 10.3466 -5.2003 -1.1045
Mo 6.9702 -2.2823 4.1619
O 7.0386 -5.1249 -4.7436
O 2.7110 -5.9319 6.3017
O -0.7048 -2.8573 9.4682
O 4.7709 -2.4616 8.9668
O 3.7278 -2.2499 11.7864
O 5.9955 -4.9131 -1.9239
O 8.1604 -6.9352 2.2309
O 6.7568 -2.9495 5.8034
O 5.3435 -1.2412 -0.2124
O 9.6945 -3.9035 -0.0696
O 4.8595 -0.5069 6.6067
O 4.0096 -4.4252 1.2394
O 3.2015 -6.8689 2.8404
O 1.0719 -3.4713 7.1125
O 2.6060 -0.4395 4.8119
O 8.1176 -3.3480 3.3058
O 5.4229 -6.1335 7.2553
O 5.9069 -6.8678 0.4361
O 8.0554 -1.4428 0.7411
O 5.4144 -2.2384 3.3072
O 7.5649 -0.5058 4.2025
O 11.4712 -4.5175 -2.4254
O 5.3520 -5.1364 3.7356
O 2.6488 -4.0267 3.7370

10
Lattice="-3.6187 3.5870 -0.5318 -2.0932 -2.7560 -4.3271 -0.0803 -2.8487 4.9210" Properties=species:S:1:pos:R:3 comment="Zn2AgWO6 | the Materials Project | PBE with a Hubbard U | relaxed" space_group="P1, No. 1" polymorph_energy_ev_per_atom=0.0082 formation_energy_ev_per_atom=-1.601 dft_energy_ev_per_cell=-55.45 m_tot_mub_per_fu=1.000 pbc="T T T"
Zn -2.9222 0.6186 1.0746
Zn -2.4482 -2.2022 -0.7175
Ag -2.9761 0.3736 -2.4317
W -0.0512 -0.0494 -0.0467
O -2.9149 -1.8310 -2.7489
O -3.3363 -0.3137 2.7250
O -4.0515 -2.0587 0.6108
O -2.1016 -4.0661 -0.4497
O -0.5238 -1.7115 0.8190
O -2.0900 -0.2218 -0.5636

9
Lattice="2.7831 -3.3306 6.3924 2.2977 -4.8791 1.0976 4.8386 -0.2068 2.4523" Properties=species:S:1:pos:R:3 comment="HW2O6 | the Materials Project | PBE with a Hubbard U | relaxed" space_group="P1, No. 1" polymorph_energy_ev_per_atom=0.0139 formation_energy_ev_per_atom=-1.652 dft_energy_ev_per_cell=-60.86 m_tot_mub_per_fu=1.000 pbc="T T T"
H 8.5119 -6.7200 6.7801
W 4.2885 -3.2702 3.5192
W 5.6769 -4.9398 6.7179
O 5.1771 -3.4590 7.5889
O 8.7535 -6.0034 9.3191
O 6.3195 -5.9008 8.1260
O 3.8153 -1.7816 4.3766
O 7.3618 -4.3223 6.1588
O 4.9502 -4.2233 4.9290

32
Lattice="-0.4015 0.0004 6.3234 5.3848 5.0105 0.3990 -5.3851 5.0107 -0.3984" Properties=species:S:1:pos:R:3 comment="Li2CoSiO4 | the Materials Project | PBE with a Hubbard U | relaxed" piezo_max_c_m2=0.87 polymorph_energy_ev_per_atom=0.0143 formation_energy_ev_per_atom=-2.500 dft_energy_ev_per_cell=-207.03 m_tot_mub_per_fu=0.000 pbc="T T T"
Li 1.7382 5.0084 1.8357
Li -3.6468 5.0086 1.4369
Li -2.1401 7.5140 4.4883
Li -2.1398 2.5033 4.4880
Li 0.6882 2.4991 3.2301
Li 0.6879 7.5095 3.2304
Li 4.2952 5.0043 3.4924
Li -1.0897 5.0044 3.0938
Co 0.9752 7.5096 0.1143
Co -1.3777 5.0049 6.2095
Co 0.9749 2.4989 0.1140
Co 4.0073 5.0044 6.6083
Si 1.4526 4.9771 4.8259
Si -3.9324 4.9777 4.4274
Si -1.8546 7.4820 1.4985
Si -1.8542 2.4718 1.4979
O -4.7994 5.4908 5.7926
O 0.5858 5.4899 6.1913
O -0.9865 7.9950 0.1329
O -0.9861 2.9844 0.1320
O -4.6128 5.5356 3.0658
O 0.7721 5.5354 3.4646
O -1.1740 8.0408 2.8596
O -1.1738 3.0303 2.8592
O 1.4268 3.3221 4.8768
O 1.4264 8.3332 4.8773
O -1.8288 5.8269 1.4479
O 3.5562 5.8272 1.8461
O -2.3727 5.5139 4.5939
O 3.0124 5.5130 4.9924
O 1.9710 3.0078 1.7301
O 1.9710 8.0183 1.7305

14
Lattice="6.2516 0.0000 0.0000 0.0000 6.2516 0.0000 0.0000 0.0000 4.6598" Properties=species:S:1:pos:R:3 comment="VPO5 | the Materials Project | PBE with a Hubbard U | relaxed" space_group="P4/nmm, No. 129" polymorph_energy_ev_per_atom=0.0147 formation_energy_ev_per_atom=-2.485 dft_energy_ev_per_cell=-103.00 pbc="T T T"
V 3.1258 0.0000 1.8244
V 0.0000 3.1258 2.8354
P 0.0000 0.0000 2.3299
P 3.1258 3.1258 2.3299
O 4.3776 3.1258 3.2450
O 0.0000 4.9998 3.2450
O 0.0000 3.1258 1.2343
O 3.1258 0.0000 3.4255
O 0.0000 1.2518 3.2450
O 1.8740 3.1258 3.2450
O 1.2518 0.0000 1.4149
O 3.1258 1.8740 1.4149
O 3.1258 4.3776 1.4149
O 4.9998 0.0000 1.4149

10
Lattice="0.0000 -4.3129 -4.3129 4.3129 0.0000 -4.3129 4.3129 -4.3129 0.0000" Properties=species:S:1:pos:R:3 comment="BaSrNdWO6 | the Materials Project | PBE with a Hubbard U | relaxed" space_group="F-43m, No. 216" polymorph_energy_ev_per_atom=0.1083 formation_energy_ev_per_atom=-2.952 dft_energy_ev_per_cell=-71.98 m_tot_mub_per_fu=1.000 pbc="T T T"
Ba 2.1565 -2.1565 -2.1565
Sr 6.4694 -6.4694 -6.4694
Nd 0.0000 0.0000 0.0000
W 4.3129 -4.3129 -4.3129
O 2.3174 -4.3129 -4.3129
O 6.3084 -4.3129 -4.3129
O 4.3129 -6.3084 -4.3129
O 4.3129 -2.3174 -4.3129
O 4.3129 -4.3129 -6.3084
O 4.3129 -4.3129 -2.3174